DFT (PBE with a Hubbard U) results for an optimized crystal structure of Li12MnNi3P4C4O28.

Cell lengths 6.4618, 8.3739, 9.9803 Å; angles 85.25, 90.00, 90.00 degrees
Last column: nearest neighbours and their distance in Å.
Sites, in units of the cell vectors:
Li  0.0000  0.9008  0.6175  2 O 1.92-2.02
Li  0.0000  0.9076  0.1186  2 O 1.94-2.02
Li  0.2287  0.7233  0.8763  4 O 2.07-2.17
Li  0.7713  0.7233  0.8763  4 O 2.07-2.17
Li  0.2287  0.7251  0.3772  4 O 2.03-2.17
Li  0.7713  0.7251  0.3772  4 O 2.03-2.17
Li  0.7283  0.2769  0.6257  4 O 2.09-2.19
Li  0.2717  0.2769  0.6257  4 O 2.09-2.19
Li  0.7277  0.2755  0.1211  4 O 2.08-2.22
Li  0.2723  0.2755  0.1211  4 O 2.08-2.22
Li  0.5000  0.0971  0.8826  2 O 1.94-2.02
Li  0.5000  0.0976  0.3834  4 O 1.94-2.17
Mn  0.0000  0.3407  0.3888  5 O 2.07-2.21
Ni  0.5000  0.6674  0.6044  6 O 2.04-2.22
Ni  0.5000  0.6681  0.1028  6 O 2.04-2.22
Ni  0.0000  0.3331  0.8971  6 O 2.04-2.22
P  0.0000  0.5852  0.6432  4 O 1.54-1.56
P  0.0000  0.5901  0.1354  4 O 1.55-1.56
P  0.5000  0.4155  0.8610  4 O 1.54-1.56
P  0.5000  0.4149  0.3618  4 O 1.54-1.56
C  0.5000  0.9602  0.6486  3 O 1.30
C  0.5000  0.9605  0.1484  3 O 1.29-1.30
C  0.0000  0.0401  0.8510  3 O 1.29-1.30
C  0.0000  0.0310  0.3510  3 O 1.29-1.30
O  0.5000  0.9235  0.5250  1 C 1.30
O  0.0000  0.8930  0.8204  1 C 1.29
O  0.5000  0.9245  0.0247  1 C 1.29
O  0.5000  0.8432  0.7430  1 C 1.30
O  0.0000  0.8830  0.3214  1 C 1.30
O  0.5000  0.8429  0.2424  1 C 1.30
O  0.1867  0.6896  0.5906  1 P 1.56
O  0.8133  0.6896  0.5906  1 P 1.56
O  0.1875  0.6925  0.0827  1 P 1.55
O  0.8125  0.6925  0.0827  1 P 1.55
O  0.5000  0.5822  0.9157  1 P 1.54
O  0.0000  0.5642  0.8004  1 P 1.56
O  0.5000  0.5817  0.4168  1 P 1.54
O  0.0000  0.5737  0.2920  1 P 1.56
O  0.5000  0.4388  0.7042  1 P 1.56
O  0.0000  0.4175  0.5906  1 P 1.54
O  0.5000  0.4389  0.2049  1 P 1.56
O  0.0000  0.4186  0.0878  1 P 1.55
O  0.3133  0.3098  0.9119  1 P 1.56
O  0.6867  0.3098  0.9119  1 P 1.56
O  0.6845  0.3085  0.4131  1 P 1.55
O  0.3155  0.3085  0.4131  1 P 1.55
O  0.0000  0.1573  0.7568  1 C 1.30
O  0.5000  0.1075  0.6795  1 C 1.30
O  0.0000  0.1443  0.2534  1 C 1.30
O  0.0000  0.0774  0.9745  1 C 1.30
O  0.5000  0.1077  0.1796  1 C 1.30
O  0.0000  0.0677  0.4740  1 C 1.29

Computed properties:
Energy relative to the elements ... -120.63 eV/f.u.